(1)
Y4ZrMn5O15 PBE with a Hubbard U relaxed; calculated total energy = -423.0 eV for the cell shown
1.0
6.249 0.000 0.000
-3.122 9.031 0.000
-3.096 -1.832 11.499
Y Zr Mn O
8 2 10 30
Direct
0.000 0.000 0.000 Y
0.075 0.695 0.467 Y
0.172 0.392 0.958 Y
0.302 0.104 0.501 Y
0.597 0.200 0.998 Y
0.680 0.895 0.471 Y
0.787 0.601 0.980 Y
0.899 0.305 0.501 Y
0.366 0.796 0.950 Zr
0.470 0.492 0.448 Zr
0.068 0.247 0.229 Mn
0.100 0.136 0.729 Mn
0.271 0.655 0.224 Mn
0.317 0.552 0.727 Mn
0.474 0.044 0.233 Mn
0.513 0.948 0.729 Mn
0.669 0.445 0.225 Mn
0.694 0.358 0.731 Mn
0.859 0.850 0.228 Mn
0.888 0.745 0.724 Mn
0.012 0.790 0.903 O
0.031 0.349 0.725 O
0.121 0.042 0.206 O
0.165 0.279 0.398 O
0.189 0.627 0.054 O
0.205 0.169 0.896 O
0.235 0.521 0.560 O
0.255 0.756 0.751 O
0.353 0.450 0.255 O
0.359 0.672 0.393 O
0.384 0.990 0.062 O
0.396 0.902 0.563 O
0.398 0.587 0.893 O
0.429 0.147 0.710 O
0.552 0.854 0.257 O
0.553 0.418 0.060 O
0.570 0.095 0.402 O
0.598 0.345 0.564 O
0.612 0.984 0.897 O
0.646 0.551 0.754 O
0.723 0.244 0.208 O
0.724 0.809 0.060 O
0.767 0.470 0.393 O
0.773 0.690 0.546 O
0.789 0.374 0.897 O
0.828 0.948 0.716 O
0.932 0.647 0.224 O
0.988 0.890 0.395 O
0.990 0.230 0.064 O
0.993 0.110 0.564 O



(2)
MnZnO2 PBE with a Hubbard U relaxed; calculated total energy = -96.8 eV for the cell shown
1.0
3.050 0.000 0.000
1.409 8.199 0.000
1.473 0.265 8.341
Mn Zn O
4 4 8
Direct
0.095 0.088 0.231 Mn
0.317 0.277 0.583 Mn
0.683 0.723 0.417 Mn
0.905 0.912 0.769 Mn
0.094 0.586 0.761 Zn
0.316 0.763 0.103 Zn
0.684 0.237 0.897 Zn
0.906 0.414 0.239 Zn
0.089 0.758 0.577 O
0.302 0.102 0.791 O
0.308 0.582 0.269 O
0.446 0.738 0.877 O
0.554 0.262 0.123 O
0.692 0.418 0.731 O
0.698 0.898 0.209 O
0.911 0.242 0.423 O



(3)
MnZnO2 PBE with a Hubbard U relaxed; calculated total energy = -96.9 eV for the cell shown
1.0
8.192 -1.525 0.000
8.192 1.525 0.000
-7.951 0.000 8.375
Mn Zn O
4 4 8
Direct
0.094 0.094 0.282 Mn
0.326 0.326 0.927 Mn
0.674 0.674 0.073 Mn
0.906 0.906 0.718 Mn
0.077 0.077 0.734 Zn
0.311 0.311 0.386 Zn
0.689 0.689 0.614 Zn
0.923 0.923 0.266 Zn
0.079 0.079 0.914 O
0.307 0.307 0.714 O
0.320 0.320 0.222 O
0.441 0.441 0.613 O
0.559 0.559 0.387 O
0.680 0.680 0.778 O
0.693 0.693 0.286 O
0.921 0.921 0.086 O



| no. | energy of formation (eV per atom) |
| --- | --- |
| 1 | -3.03 |
| 2 | -1.73 |
| 3 | -1.74 |